No. 1
The following is a PBE-GGA calculation of a geometry-optimized PrNi9Ge4 structure, from the Materials Project.

a b c (Å): 8.1422 8.1422 8.1422
angles (deg): 121.39 121.39 87.61
Fractional coordinates of all 28 atoms:
Ni 0.9325 0.2034 0.1359
Ni 0.0565 0.5565 0.2506
Ni 0.8059 0.0565 0.5000
Ni 0.7966 0.9325 0.7290
Ni 0.6941 0.1941 0.2506
Ni 0.4435 0.6941 0.5000
Ni 0.5675 0.7034 0.2710
Ni 0.2966 0.5675 0.8641
Ni 0.1941 0.9435 0.5000
Ni 0.0675 0.7966 0.8641
Ni 0.2034 0.0675 0.2710
Ni 0.5000 0.0000 0.5000
Ni 0.4325 0.2966 0.7290
Ni 0.3059 0.8059 0.7494
Ni 0.5565 0.3059 0.5000
Ni 0.9435 0.4435 0.7494
Ni 0.7034 0.4325 0.1359
Ni 0.0000 0.5000 0.5000
Ge 0.5513 0.0513 0.8470
Ge 0.2957 0.4487 0.5000
Ge 0.9487 0.7957 0.5000
Ge 0.4487 0.9487 0.1530
Ge 0.7957 0.2957 0.8470
Ge 0.0513 0.2043 0.5000
Ge 0.2043 0.7043 0.1530
Ge 0.7043 0.5513 0.5000
Pr 0.7500 0.7500 0.0000
Pr 0.2500 0.2500 0.0000

symmetry = I4/mcm
formation enthalpy at 0 K = -404 meV per atom
size of the total moment = 0.022 μB per formula unit
total DFT energy (no corrections) = -5.78 eV/atom

No. 2
The following is a PBE-GGA calculation of a geometry-optimized Pr2Ni3Ge5 structure, from the Materials Project.

a b c (Å): 5.9345 8.2045 8.2045
angles (deg): 73.25 68.80 68.80
Fractional coordinates of all 20 atoms:
Ni 0.8694 0.5186 0.7426
Ni 0.3694 0.7426 0.5186
Ni 0.6306 0.2574 0.4814
Ni 0.1306 0.4814 0.2574
Ni 0.7500 0.0000 0.0000
Ni 0.2500 0.0000 0.0000
Pr 0.1332 0.1261 0.6076
Pr 0.3668 0.3924 0.8739
Pr 0.6332 0.6076 0.1261
Pr 0.8668 0.8739 0.3924
Ge 0.5080 0.2420 0.2420
Ge 0.1023 0.7465 0.0489
Ge 0.9920 0.7580 0.7580
Ge 0.4920 0.7580 0.7580
Ge 0.3977 0.9511 0.2535
Ge 0.7500 0.5000 0.5000
Ge 0.2500 0.5000 0.5000
Ge 0.0080 0.2420 0.2420
Ge 0.8977 0.2535 0.9511
Ge 0.6023 0.0489 0.7465

symmetry = Ibam
formation enthalpy at 0 K = -646 meV per atom
size of the total moment = 0.002 μB per formula unit
total DFT energy (no corrections) = -5.65 eV/atom

No. 3
The following is a PBE-GGA calculation of a geometry-optimized Pr3NiGe2 structure, from the Materials Project.

a b c (Å): 4.3186 11.7633 11.9136
angles (deg): 90.00 90.00 90.00
Fractional coordinates of all 24 atoms:
Pr 0.2500 0.0576 0.8834
Pr 0.2500 0.8034 0.7158
Pr 0.7500 0.5576 0.6166
Pr 0.7500 0.3034 0.7842
Pr 0.2500 0.6966 0.2158
Pr 0.2500 0.1256 0.5584
Pr 0.7500 0.9424 0.1166
Pr 0.7500 0.8744 0.4416
Pr 0.2500 0.3744 0.0584
Pr 0.2500 0.4424 0.3834
Pr 0.7500 0.6256 0.9416
Pr 0.7500 0.1966 0.2842
Ni 0.2500 0.1337 0.1298
Ni 0.7500 0.6337 0.3702
Ni 0.7500 0.8663 0.8702
Ni 0.2500 0.3663 0.6298
Ge 0.7500 0.1872 0.0247
Ge 0.7500 0.5055 0.1967
Ge 0.2500 0.8128 0.9753
Ge 0.2500 0.6872 0.4753
Ge 0.7500 0.3128 0.5247
Ge 0.2500 0.0055 0.3033
Ge 0.2500 0.4945 0.8033
Ge 0.7500 0.9945 0.6967

symmetry = Pnma
formation enthalpy at 0 K = -703 meV per atom
total DFT energy (no corrections) = -5.60 eV/atom